[1]
A geometry-optimized LiFeO2 structure. Source: the Materials Project database, functional GGA+U.

Lattice parameters (Å, degrees): 5.890 8.513 5.895 90.00 90.00 90.00
Space group Imma (No. 74)
Symmetry-distinct sites (fractional):
Li (0.000, 0.000, 0.000) [4 per cell]
Li (0.250, 0.250, 0.250) [4 per cell]
Fe (0.000, 0.000, 0.500) [4 per cell]
Fe (0.250, 0.250, 0.750) [4 per cell]
O (0.000, 0.250, 0.502) [4 per cell]
O (0.000, 0.250, 0.977) [4 per cell]
O (0.250, 0.009, 0.750) [8 per cell]

The value obtained for the volume is 9.24 Å³/atom. As for the formation enthalpy at 0 K: -1.87 eV/atom.



[2]
A geometry-optimized LiFe3O4 structure. Source: the Materials Project database, functional GGA+U.

Lattice parameters (Å, degrees): 3.062 5.176 5.211 72.85 89.38 89.98
Space group P-1 (No. 2)
Symmetry-distinct sites (fractional):
Li (0.000, 0.000, 0.000) [1 per cell]
Fe (0.000, 0.500, 0.500) [1 per cell]
Fe (0.500, 0.000, 0.500) [1 per cell]
Fe (0.500, 0.500, 0.000) [1 per cell]
O (0.001, 0.736, 0.776) [2 per cell]
O (0.485, 0.742, 0.254) [2 per cell]

The value obtained for the volume is 9.86 Å³/atom. As for the formation enthalpy at 0 K: -1.67 eV/atom.



Q: Among the records above, which one has the highest volume?
A: LiFe3O4